Record 1
# Na8La2Zr2Si5SO24

A geometry-optimized Na8La2Zr2Si5SO24 structure (PBE-GGA, the Materials Project).

Cell and atoms, written as POSCAR:
```
Na8La2Zr2Si5SO24
1.0
9.542 0.000 0.000
-4.766 8.280 0.000
-0.063 -0.096 23.067
Na La Zr Si S O
24 6 6 15 3 72
Direct
0.000 0.000 0.000
0.002 0.641 0.756
0.005 0.281 0.490
0.010 0.639 0.252
0.043 0.949 0.685
0.047 0.327 0.165
0.284 0.946 0.177
0.317 0.295 0.080
0.319 0.605 0.673
0.322 0.927 0.839
0.335 0.652 0.335
0.370 0.313 0.586
0.372 0.627 0.001
0.386 0.005 0.492
0.613 0.607 0.503
0.634 0.256 0.992
0.647 0.330 0.669
0.653 0.964 0.414
0.663 0.607 0.170
0.671 0.964 0.919
0.684 0.283 0.338
0.703 0.649 0.839
0.970 0.295 0.843
0.983 0.936 0.331
0.001 0.625 0.604
0.330 0.294 0.242
0.339 0.299 0.425
0.342 0.295 0.747
0.649 0.951 0.568
0.669 0.952 0.065
0.002 0.627 0.902
0.011 0.639 0.098
0.333 0.293 0.935
0.652 0.945 0.775
0.664 0.944 0.266
0.999 0.613 0.400
0.007 0.285 0.334
0.013 0.341 0.001
0.025 0.986 0.836
0.291 0.932 0.999
0.300 0.621 0.501
0.329 0.596 0.835
0.335 0.970 0.334
0.356 0.655 0.164
0.366 0.963 0.672
0.644 0.292 0.836
0.658 0.613 0.334
0.667 0.660 0.670
0.698 0.325 0.501
0.701 0.611 0.000
0.972 0.954 0.165
0.003 0.927 0.498
0.677 0.268 0.168
0.961 0.252 0.673
0.004 0.827 0.448
0.005 0.442 0.945
0.010 0.852 0.553
0.026 0.450 0.059
0.076 0.235 0.390
0.126 0.273 0.675
0.127 0.046 0.776
0.133 0.119 0.888
0.133 0.338 0.280
0.148 0.090 0.496
0.158 0.103 0.172
0.177 0.647 0.165
0.178 0.787 0.343
0.180 0.329 0.997
0.180 0.618 0.448
0.181 0.634 0.846
0.182 0.834 0.057
0.193 0.818 0.944
0.195 0.790 0.678
0.215 0.617 0.563
0.287 0.497 0.775
0.290 0.047 0.279
0.296 0.107 0.996
0.313 0.456 0.499
0.335 0.474 0.170
0.337 0.118 0.673
0.357 0.491 0.887
0.380 0.088 0.391
0.454 0.732 0.105
0.457 0.978 0.611
0.465 0.775 0.219
0.474 0.958 0.999
0.477 0.785 0.492
0.486 0.966 0.726
0.495 0.949 0.323
0.500 0.774 0.834
0.501 0.483 0.670
0.508 0.265 0.888
0.513 0.295 0.498
0.523 0.445 0.996
0.535 0.542 0.389
0.538 0.296 0.172
0.587 0.492 0.278
0.588 0.339 0.776
0.654 0.125 0.834
0.659 0.178 0.113
0.666 0.778 0.724
0.668 0.744 0.608
0.676 0.793 0.323
0.681 0.172 0.218
0.681 0.772 0.998
0.704 0.156 0.493
0.776 0.414 0.563
0.798 0.601 0.059
0.809 0.449 0.448
0.813 0.623 0.945
0.825 0.135 0.320
0.828 0.445 0.847
0.832 0.426 0.168
0.833 0.649 0.678
0.844 0.652 0.344
0.848 0.980 0.832
0.850 0.942 0.219
0.851 0.162 0.999
0.854 0.939 0.494
0.862 0.151 0.722
0.886 0.171 0.617
0.902 0.988 0.106
0.968 0.411 0.677
0.968 0.776 0.165
0.980 0.443 0.343
0.993 0.801 0.845
```

Computed properties:
crystal system	triclinic
spin magnetization	0.0	Bohr magnetons per cell
VASP energy	-7.05	eV/atom

***

Record 2
# NaLa3ZnS6O24

A geometry-optimized NaLa3ZnS6O24 structure (PBE-GGA, the Materials Project).

Cell and atoms, written as POSCAR:
```
NaLa3ZnS6O24
1.0
9.348 0.000 0.000
-4.674 8.096 0.000
0.000 0.000 24.718
Na La Zn S O
3 9 3 18 72
Direct
0.000 0.000 0.000
0.000 0.000 0.488
0.333 0.667 0.145
0.000 0.000 0.342
0.000 0.000 0.635
0.000 0.000 0.845
0.333 0.667 0.301
0.333 0.667 0.803
0.667 0.333 0.171
0.667 0.333 0.467
0.667 0.333 0.669
0.667 0.333 0.974
0.000 0.000 0.140
0.333 0.667 0.004
0.333 0.667 0.508
0.005 0.719 0.233
0.052 0.671 0.912
0.055 0.380 0.411
0.281 0.286 0.233
0.296 0.003 0.739
0.325 0.945 0.411
0.329 0.380 0.912
0.351 0.018 0.072
0.367 0.348 0.568
0.620 0.675 0.411
0.620 0.948 0.912
0.652 0.020 0.568
0.667 0.649 0.072
0.707 0.704 0.739
0.714 0.995 0.233
0.980 0.633 0.568
0.982 0.333 0.072
0.997 0.293 0.739
0.020 0.213 0.690
0.024 0.824 0.186
0.034 0.823 0.908
0.036 0.210 0.408
0.124 0.655 0.860
0.129 0.468 0.359
0.142 0.647 0.560
0.145 0.458 0.744
0.147 0.485 0.065
0.156 0.701 0.236
0.158 0.467 0.458
0.158 0.690 0.958
0.174 0.964 0.408
0.176 0.199 0.186
0.177 0.212 0.908
0.186 0.004 0.079
0.193 0.980 0.690
0.199 0.196 0.573
0.208 0.197 0.285
0.215 0.024 0.788
0.299 0.455 0.236
0.308 0.842 0.458
0.310 0.468 0.958
0.312 0.855 0.744
0.338 0.853 0.065
0.339 0.871 0.359
0.345 0.468 0.860
0.353 0.495 0.560
0.433 0.125 0.024
0.447 0.305 0.228
0.449 0.316 0.521
0.459 0.100 0.121
0.460 0.152 0.732
0.463 0.365 0.618
0.472 0.111 0.415
0.476 0.361 0.917
0.505 0.858 0.560
0.515 0.662 0.065
0.532 0.661 0.359
0.532 0.842 0.958
0.532 0.876 0.860
0.533 0.692 0.458
0.542 0.688 0.744
0.545 0.844 0.236
0.635 0.099 0.618
0.639 0.115 0.917
0.639 0.528 0.415
0.641 0.541 0.121
0.684 0.133 0.521
0.691 0.540 0.732
0.693 0.567 0.024
0.695 0.143 0.228
0.787 0.807 0.690
0.788 0.966 0.908
0.790 0.826 0.408
0.801 0.976 0.186
0.803 0.011 0.285
0.804 0.003 0.573
0.809 0.785 0.788
0.818 0.814 0.079
0.848 0.309 0.732
0.857 0.553 0.228
0.867 0.551 0.521
0.875 0.307 0.024
0.885 0.524 0.917
0.889 0.361 0.415
0.900 0.359 0.121
0.901 0.537 0.618
0.976 0.191 0.788
0.989 0.792 0.285
0.996 0.182 0.079
0.997 0.801 0.573
```

Computed properties:
crystal system	trigonal
spin magnetization	0.0	Bohr magnetons per cell
VASP energy	-6.58	eV/atom

***

Record 3
# NaLaZnS3O12

A geometry-optimized NaLaZnS3O12 structure (PBE-GGA, the Materials Project).

Cell and atoms, written as POSCAR:
```
NaLaZnS3O12
1.0
-1.708 -2.179 -8.692
-1.163 -6.216 6.574
-23.032 7.189 2.724
O S Na La Zn
72 18 6 6 6
Direct
0.302 0.448 0.468
0.824 0.522 0.747
0.032 0.843 0.413
0.478 0.176 0.247
0.811 0.968 0.413
0.002 0.791 0.701
0.997 0.203 0.588
0.542 0.878 0.368
0.130 0.669 0.755
0.331 0.461 0.755
0.464 0.128 0.921
0.797 0.003 0.088
0.219 0.188 0.801
0.302 0.854 0.968
0.336 0.878 0.868
0.491 0.856 0.080
0.969 0.781 0.801
0.698 0.522 0.247
0.824 0.302 0.247
0.144 0.509 0.580
0.157 0.189 0.413
0.336 0.458 0.368
0.491 0.635 0.580
0.331 0.870 0.255
0.552 0.854 0.468
0.664 0.128 0.421
0.969 0.188 0.301
0.886 0.521 0.134
0.812 0.031 0.801
0.122 0.458 0.868
0.157 0.968 0.913
0.797 0.794 0.588
0.130 0.461 0.255
0.997 0.794 0.088
0.669 0.544 0.534
0.542 0.664 0.868
0.886 0.365 0.634
0.365 0.509 0.080
0.146 0.698 0.468
0.872 0.536 0.421
0.635 0.521 0.634
0.669 0.125 0.034
0.478 0.302 0.747
0.479 0.365 0.134
0.552 0.698 0.968
0.209 0.998 0.201
0.875 0.331 0.534
0.789 0.998 0.701
0.209 0.211 0.701
0.539 0.669 0.255
0.872 0.336 0.921
0.122 0.664 0.368
0.635 0.114 0.134
0.464 0.336 0.421
0.875 0.544 0.034
0.698 0.176 0.747
0.456 0.125 0.534
0.456 0.331 0.034
0.219 0.031 0.301
0.789 0.791 0.201
0.365 0.856 0.580
0.002 0.211 0.201
0.146 0.448 0.968
0.032 0.189 0.913
0.144 0.635 0.080
0.479 0.114 0.634
0.812 0.781 0.301
0.664 0.536 0.921
0.206 0.203 0.088
0.539 0.870 0.755
0.206 0.003 0.588
0.811 0.843 0.913
0.312 0.954 0.918
0.379 0.354 0.085
0.979 0.692 0.752
0.979 0.288 0.252
0.975 0.354 0.585
0.308 0.021 0.252
0.646 0.025 0.085
0.712 0.021 0.752
0.312 0.358 0.418
0.975 0.621 0.085
0.712 0.692 0.252
0.646 0.621 0.585
0.642 0.688 0.918
0.642 0.954 0.418
0.046 0.358 0.918
0.308 0.288 0.752
0.046 0.688 0.418
0.379 0.025 0.585
0.667 0.333 0.323
0.000 0.000 0.490
0.333 0.667 0.656
0.000 0.000 0.990
0.667 0.333 0.823
0.333 0.667 0.156
0.667 0.333 0.981
0.000 0.000 0.148
0.333 0.667 0.314
0.000 0.000 0.648
0.667 0.333 0.481
0.333 0.667 0.814
0.333 0.667 0.013
0.333 0.667 0.513
0.667 0.333 0.180
0.000 0.000 0.847
0.667 0.333 0.680
0.000 0.000 0.347
```

Computed properties:
spin magnetization	0.0	Bohr magnetons per cell
VASP energy	-6.21	eV/atom

***

Record 4
# NaLaSe4O12

A geometry-optimized NaLaSe4O12 structure (PBE-GGA, the Materials Project).

Cell and atoms, written as POSCAR:
```
NaLaSe4O12
1.0
7.409 0.000 0.000
0.000 3.703 4.916
0.000 -3.703 4.916
Na La Se O
1 1 4 12
Direct
0.000 0.000 0.000
0.500 0.454 0.454
0.246 0.496 0.969
0.246 0.969 0.496
0.754 0.496 0.969
0.754 0.969 0.496
0.000 0.050 0.465
0.000 0.465 0.050
0.217 0.802 0.802
0.264 0.355 0.774
0.264 0.774 0.355
0.284 0.264 0.264
0.500 0.025 0.560
0.500 0.560 0.025
0.716 0.264 0.264
0.736 0.355 0.774
0.736 0.774 0.355
0.783 0.802 0.802
```

Computed properties:
crystal system	orthorhombic
spin magnetization	0.0	Bohr magnetons per cell
VASP energy	-5.38	eV/atom

***

Record 5
# NaSrLaSeO6

A geometry-optimized NaSrLaSeO6 structure (PBE-GGA, the Materials Project).

Cell and atoms, written as POSCAR:
```
NaSrLaSeO6
1.0
0.000 4.145 4.145
4.145 0.000 4.145
4.145 4.145 0.000
Na Sr La Se O
1 1 1 1 6
Direct
0.000 0.000 0.000
0.500 0.500 0.500
0.250 0.250 0.250
0.750 0.750 0.750
0.529 0.529 0.971
0.529 0.971 0.529
0.529 0.971 0.971
0.971 0.529 0.529
0.971 0.529 0.971
0.971 0.971 0.529
```

Computed properties:
crystal system	cubic
spin magnetization	0.0	Bohr magnetons per cell
VASP energy	-6.08	eV/atom

***

Number 5 is which compound?
NaSrLaSeO6

***

VASP energy of number 3 (NaLaZnS3O12)?
-6.21 eV/atom

***

Which value of spin magnetization does entry 4 give?
0.0 Bohr magnetons per cell